(1)
The following is a DFT calculation (PBE-GGA) of a relaxed VIr crystal.

Output
The space group is No. 65. As for the formation energy: -0.5180 eV/atom. The value obtained for the volume is 223 Å³ per cell.

Cell and atoms, written as POSCAR:
```
VIr
1.0
7.140 0.000 0.000
0.000 11.225 0.000
0.000 0.000 2.785
V Ir
8 8
direct
0.000 0.000 0.000 V
0.000 0.227 0.000 V
0.000 0.500 0.000 V
0.000 0.773 0.000 V
0.500 0.000 0.000 V
0.500 0.273 0.000 V
0.500 0.500 0.000 V
0.500 0.727 0.000 V
0.230 0.373 0.500 Ir
0.230 0.627 0.500 Ir
0.270 0.127 0.500 Ir
0.270 0.873 0.500 Ir
0.730 0.127 0.500 Ir
0.730 0.873 0.500 Ir
0.770 0.373 0.500 Ir
0.770 0.627 0.500 Ir
```

(2)
The following is a DFT calculation (PBE-GGA) of a relaxed MgSi2 crystal.

Output
The space group is No. 8. The value obtained for the energy above the most stable polymorph in this dataset is 0.1425 eV per atom. As for the formation energy: 0.2201 eV/atom. The value obtained for the volume is 206 Å³ per cell.

Cell and atoms, written as POSCAR:
```
MgSi2
1.0
5.033 -1.784 0.000
5.033 1.784 0.000
-2.862 0.000 11.448
Mg Si
4 8
direct
0.000 0.000 0.000 Mg
0.063 0.063 0.449 Mg
0.334 0.334 0.809 Mg
0.636 0.636 0.225 Mg
0.044 0.044 0.763 Si
0.295 0.295 0.055 Si
0.349 0.349 0.334 Si
0.419 0.419 0.605 Si
0.664 0.664 0.906 Si
0.667 0.667 0.648 Si
0.789 0.789 0.481 Si
0.908 0.908 0.200 Si
```

(3)
The following is a DFT calculation (PBE-GGA) of a relaxed LuIn3 crystal.

Output
The space group is No. 221. As for the formation energy: -0.3253 eV/atom. The value obtained for the volume is 98 Å³ per cell.

Cell and atoms, written as POSCAR:
```
LuIn3
1.0
4.611 0.000 0.000
0.000 4.611 0.000
0.000 0.000 4.611
Lu In
1 3
direct
0.000 0.000 0.000 Lu
0.000 0.500 0.500 In
0.500 0.000 0.500 In
0.500 0.500 0.000 In
```

(4)
The following is a DFT calculation (PBE-GGA) of a relaxed NaNbO3 crystal.

Output
The space group is No. 31. As for the formation energy: -2.8289 eV/atom. The value obtained for the volume is 250 Å³ per cell.

Cell and atoms, written as POSCAR:
```
NaNbO3
1.0
7.876 0.000 0.000
0.000 5.643 0.000
0.000 0.000 5.615
Na Nb O
4 4 12
direct
0.000 0.226 0.000 Na
0.000 0.749 0.505 Na
0.500 0.251 0.005 Na
0.500 0.774 0.500 Na
0.247 0.745 0.992 Nb
0.253 0.255 0.492 Nb
0.747 0.255 0.492 Nb
0.753 0.745 0.992 Nb
0.000 0.257 0.457 O
0.000 0.762 0.084 O
0.217 0.970 0.741 O
0.218 0.465 0.804 O
0.282 0.535 0.304 O
0.283 0.030 0.241 O
0.500 0.238 0.584 O
0.500 0.743 0.957 O
0.717 0.030 0.241 O
0.718 0.535 0.304 O
0.782 0.465 0.804 O
0.783 0.970 0.741 O
```

(5)
The following is a DFT calculation (PBE-GGA) of a relaxed Bi3Pd5 crystal.

Output
The space group is No. 187. As for the formation energy: -0.1932 eV/atom. The value obtained for the volume is 176 Å³ per cell.

Cell and atoms, written as POSCAR:
```
Bi3Pd5
1.0
4.260 0.000 0.000
-2.130 3.689 0.000
0.000 0.000 11.188
Bi Pd
3 5
direct
0.000 0.000 0.000 Bi
0.333 0.667 0.275 Bi
0.333 0.667 0.725 Bi
0.000 0.000 0.500 Pd
0.667 0.333 0.129 Pd
0.667 0.333 0.382 Pd
0.667 0.333 0.618 Pd
0.667 0.333 0.871 Pd
```

(6)
The following is a DFT calculation (PBE-GGA) of a relaxed KRb2ScF6 crystal.

Output
The space group is No. 87. As for the formation energy: -3.5681 eV/atom. The value obtained for the volume is 191 Å³ per cell.

Cell and atoms, written as POSCAR:
```
KRb2ScF6
1.0
-3.208 3.208 4.647
3.208 -3.208 4.647
3.208 3.208 -4.647
K Rb Sc F
1 2 1 6
direct
0.000 0.000 0.000 K
0.250 0.750 0.500 Rb
0.750 0.250 0.500 Rb
0.500 0.500 0.000 Sc
0.225 0.660 0.884 F
0.280 0.280 0.000 F
0.340 0.225 0.565 F
0.660 0.775 0.435 F
0.720 0.720 0.000 F
0.775 0.340 0.116 F
```

(7)
The following is a DFT calculation (PBE-GGA) of a relaxed Cs2Cu3P4O14 crystal.

Output
The space group is No. 14. As for the formation energy: -2.2421 eV/atom. The value obtained for the volume is 678 Å³ per cell.

Cell and atoms, written as POSCAR:
```
Cs2Cu3P4O14
1.0
8.015 0.000 0.000
0.000 11.047 0.000
-1.918 0.000 7.656
Cs Cu P O
4 6 8 28
direct
0.245 0.186 0.040 Cs
0.245 0.314 0.540 Cs
0.755 0.686 0.460 Cs
0.755 0.814 0.960 Cs
0.217 0.608 0.228 Cu
0.217 0.892 0.728 Cu
0.500 0.000 0.500 Cu
0.500 0.500 0.000 Cu
0.783 0.108 0.272 Cu
0.783 0.392 0.772 Cu
0.119 0.549 0.837 P
0.119 0.951 0.337 P
0.368 0.658 0.653 P
0.368 0.842 0.153 P
0.632 0.158 0.847 P
0.632 0.342 0.347 P
0.881 0.049 0.663 P
0.881 0.451 0.163 P
0.041 0.505 0.287 O
0.041 0.995 0.787 O
0.077 0.624 0.985 O
0.077 0.876 0.485 O
0.187 0.646 0.713 O
0.187 0.854 0.213 O
0.262 0.046 0.397 O
0.262 0.454 0.897 O
0.348 0.602 0.474 O
0.348 0.898 0.974 O
0.400 0.704 0.160 O
0.400 0.796 0.660 O
0.490 0.091 0.713 O
0.490 0.409 0.213 O
0.510 0.591 0.787 O
0.510 0.909 0.287 O
0.600 0.204 0.340 O
0.600 0.296 0.840 O
0.652 0.102 0.026 O
0.652 0.398 0.526 O
0.738 0.546 0.103 O
0.738 0.954 0.603 O
0.813 0.146 0.787 O
0.813 0.354 0.287 O
0.923 0.124 0.515 O
0.923 0.376 0.015 O
0.959 0.005 0.213 O
0.959 0.495 0.713 O
```

(8)
The following is a DFT calculation (PBE-GGA) of a relaxed LiAu4Se4Cl4O12 crystal.

Output
The space group is No. 1. The value obtained for the energy above the most stable polymorph in this dataset is 0.0018 eV per atom. As for the formation energy: -0.8850 eV/atom. The value obtained for the volume is 518 Å³ per cell.

Cell and atoms, written as POSCAR:
```
LiAu4Se4Cl4O12
1.0
4.741 0.000 0.000
-0.338 10.110 0.000
-0.537 -1.478 10.808
Li Au Se Cl O
1 4 4 4 12
direct
0.000 0.000 0.000 Li
0.423 0.882 0.168 Au
0.431 0.475 0.990 Au
0.434 0.472 0.489 Au
0.454 0.066 0.815 Au
0.164 0.340 0.721 Se
0.290 0.754 0.876 Se
0.577 0.200 0.108 Se
0.706 0.605 0.259 Se
0.099 0.985 0.668 Cl
0.163 0.277 0.434 Cl
0.708 0.666 0.544 Cl
0.774 0.963 0.316 Cl
0.094 0.430 0.863 O
0.135 0.819 0.015 O
0.320 0.297 0.053 O
0.328 0.070 0.119 O
0.356 0.473 0.670 O
0.411 0.695 0.222 O
0.462 0.253 0.760 O
0.510 0.473 0.309 O
0.543 0.652 0.928 O
0.546 0.880 0.864 O
0.736 0.137 0.970 O
0.769 0.516 0.116 O
```

Number 7 is which compound?
Cs2Cu3P4O14